A plane-wave DFT calculation with GGA-PBE was carried out for La2MgAl3 after structural relaxation.

Values from the calculation:
- E_form (eV per atom) = -0.398

Lattice parameters (Å, degrees): 5.815 5.815 5.815 60.81 60.81 60.81
Fractional positions:
1 La 0.120 0.120 0.120
2 La 0.880 0.880 0.880
3 Mg 0.500 0.500 0.500
4 Al 0.000 0.500 0.500
5 Al 0.500 0.000 0.500
6 Al 0.500 0.500 0.000